The following is a DFT calculation (r2SCAN) of a relaxed Na2O9 crystal.

**Formation energy from the elements**: -399 meV per atom
**Calculated total energy**: -261.08 eV/cell
**Spin magnetization**: 0.364 μB/atom
**Space-group type**: No. 14

Cell: 11.1850 5.4693 12.6876 Å, 66.46 90.00 90.00°
Atoms (fractional coordinates):
Na  0.0530  0.7418  0.5940
Na  0.5530  0.2582  0.9060
Na  0.9470  0.2582  0.4060
Na  0.4470  0.7418  0.0940
Na  0.6805  0.8723  0.6807
Na  0.1805  0.1277  0.8193
Na  0.3195  0.1277  0.3193
Na  0.8195  0.8723  0.1807
O  0.8551  0.9575  0.5710
O  0.3551  0.0425  0.9290
O  0.1449  0.0425  0.4290
O  0.6449  0.9575  0.0710
O  0.3811  0.1911  0.8204
O  0.8811  0.8089  0.6796
O  0.6189  0.8089  0.1796
O  0.1189  0.1911  0.3204
O  0.7802  0.5417  0.8970
O  0.2802  0.4583  0.6030
O  0.2198  0.4583  0.1030
O  0.7198  0.5417  0.3970
O  0.0457  0.2782  0.5744
O  0.5457  0.7218  0.9256
O  0.9543  0.7218  0.4256
O  0.4543  0.2782  0.0744
O  0.4527  0.0329  0.4723
O  0.9527  0.9671  0.0277
O  0.5473  0.9671  0.5277
O  0.0473  0.0329  0.9723
O  0.2158  0.7059  0.8179
O  0.7158  0.2941  0.6821
O  0.7842  0.2941  0.1821
O  0.2842  0.7059  0.3179
O  0.6361  0.4155  0.7143
O  0.1361  0.5845  0.7857
O  0.3639  0.5845  0.2857
O  0.8639  0.4155  0.2143
O  0.8850  0.5109  0.9288
O  0.3850  0.4891  0.5712
O  0.1150  0.4891  0.0712
O  0.6150  0.5109  0.4288
O  0.5326  0.7363  0.8230
O  0.0326  0.2637  0.6770
O  0.4674  0.2637  0.1770
O  0.9674  0.7363  0.3230